# WN2, optimized geometry, DFT PBE
# DFT formation energy in eV per atom: -0.508
# Mass density in g cm⁻³: 12.066
# Volume in Å³ per atom: 9.72
# Calculated total energy in eV for the cell shown: -30.434
data_WN2
_chemical_formula_sum 'W1 N2'
_space_group_name_H-M_alt 'P 1'
_space_group_IT_number 1
_cell_length_a 2.931
_cell_length_b 2.931
_cell_length_c 3.919
_cell_angle_alpha 90.00
_cell_angle_beta 90.00
_cell_angle_gamma 120.00
loop_
_space_group_symop_operation_xyz
'x,y,z'
loop_
_atom_site_label
_atom_site_fract_x
_atom_site_fract_y
_atom_site_fract_z
W1 0.667 0.333 0.500
N1 0.000 0.000 0.819
N2 0.000 0.000 0.181